Record 1
Material: CrN
Method: DFT, r²SCAN
State: relaxed

Magnetization (μB/f.u.): 2.94
Symmetry: No. 225
Energy of formation from the pure elements (kJ/mol of formula units): -145
Calculated volume (Å³/cell): 18.4

Cell and atoms, written as POSCAR:
```
CrN
1.0
-2.533 -0.686 -1.378
-1.418 -2.514 0.671
-2.565 0.096 1.481
Cr N
1 1
Direct
0.000 0.000 0.000
0.500 0.500 0.500
```

---

Record 2
Material: CrN
Method: DFT, r²SCAN
State: relaxed

Magnetization (μB/f.u.): 2.17
Symmetry: No. 216
Energy of formation from the pure elements (kJ/mol of formula units): -131
Calculated volume (Å³/cell): 21.3

Cell and atoms, written as POSCAR:
```
CrN
1.0
2.200 2.200 0.000
2.200 0.000 -2.200
0.000 2.200 -2.200
Cr N
1 1
Direct
0.750 0.750 0.750
0.000 0.000 0.000
```

---

Record 3
Material: Cr3N2
Method: DFT, r²SCAN
State: relaxed

Magnetization (μB/f.u.): 0.00
Symmetry: No. 167
Energy of formation from the pure elements (kJ/mol of formula units): -152
Calculated volume (Å³/cell): 89.9

Cell and atoms, written as POSCAR:
```
Cr3N2
1.0
-3.339 0.173 4.329
-3.282 -3.884 2.015
0.319 -2.702 4.745
Cr N
6 4
Direct
0.750 0.424 0.076
0.076 0.750 0.424
0.424 0.076 0.750
0.576 0.924 0.250
0.250 0.576 0.924
0.924 0.250 0.576
0.340 0.340 0.340
0.840 0.840 0.840
0.660 0.660 0.660
0.160 0.160 0.160
```

---

Record 4
Material: CrN
Method: DFT, r²SCAN
State: relaxed

Magnetization (μB/f.u.): 0.33
Symmetry: No. 187
Energy of formation from the pure elements (kJ/mol of formula units): -97
Calculated volume (Å³/cell): 15.9

Cell and atoms, written as POSCAR:
```
CrN
1.0
2.672 0.000 0.000
-1.336 2.314 0.000
0.000 0.000 2.579
Cr N
1 1
Direct
0.667 0.333 0.750
0.333 0.667 0.250
```

---

Record 5
Material: NbCrN
Method: DFT, r²SCAN
State: relaxed

Magnetization (μB/f.u.): 0.00
Symmetry: No. 129
Energy of formation from the pure elements (kJ/mol of formula units): -210
Calculated volume (Å³/cell): 67.8

Cell and atoms, written as POSCAR:
```
NbCrN
1.0
-2.148 0.254 -2.116
-2.074 -0.940 1.993
-1.198 7.010 2.058
Nb Cr N
2 2 2
Direct
0.500 0.000 0.181
0.000 0.500 0.819
0.000 0.500 0.415
0.500 0.000 0.585
0.000 0.500 0.138
0.500 0.000 0.862
```

---

Record 6
Material: Cr3PtN
Method: DFT, r²SCAN
State: relaxed

Magnetization (μB/f.u.): 6.80
Symmetry: No. 221
Energy of formation from the pure elements (kJ/mol of formula units): -146
Calculated volume (Å³/cell): 59.9

Cell and atoms, written as POSCAR:
```
Cr3PtN
1.0
3.915 0.000 0.000
0.000 3.912 0.000
0.000 0.000 3.912
Cr Pt N
3 1 1
Direct
0.500 0.000 0.500
0.000 0.500 0.500
0.500 0.500 0.000
0.000 0.000 0.000
0.500 0.500 0.500
```

---

Record 7
Material: SrCrN2
Method: DFT, r²SCAN
State: relaxed

Magnetization (μB/f.u.): 1.00
Symmetry: No. 14
Energy of formation from the pure elements (kJ/mol of formula units): -361
Calculated volume (Å³/cell): 234.5

Cell and atoms, written as POSCAR:
```
SrCrN2
1.0
-3.184 -0.564 -5.169
-0.692 -7.274 1.221
-3.198 1.071 4.569
Sr Cr N
4 4 8
Direct
0.338 0.928 0.680
0.662 0.428 0.820
0.662 0.072 0.320
0.338 0.572 0.180
0.113 0.360 0.572
0.887 0.860 0.928
0.887 0.640 0.428
0.113 0.140 0.072
0.218 0.904 0.080
0.782 0.404 0.420
0.782 0.096 0.920
0.218 0.596 0.580
0.236 0.274 0.892
0.764 0.774 0.608
0.764 0.726 0.108
0.236 0.226 0.392
```

---

Record 8
Material: Sr3CrN3
Method: DFT, r²SCAN
State: relaxed

Magnetization (μB/f.u.): 0.00
Symmetry: No. 176
Energy of formation from the pure elements (kJ/mol of formula units): -662
Calculated volume (Å³/cell): 274.6

Cell and atoms, written as POSCAR:
```
Sr3CrN3
1.0
7.787 0.000 0.000
-3.893 6.743 0.000
0.000 0.000 5.230
Sr Cr N
6 2 6
Direct
0.643 0.727 0.750
0.916 0.643 0.250
0.727 0.084 0.250
0.273 0.916 0.750
0.084 0.357 0.750
0.357 0.273 0.250
0.667 0.333 0.750
0.333 0.667 0.250
0.563 0.684 0.250
0.878 0.563 0.750
0.684 0.122 0.750
0.316 0.878 0.250
0.122 0.437 0.250
0.437 0.316 0.750
```

---

Record 9
Material: Sr3CrN4
Method: DFT, r²SCAN
State: relaxed

Magnetization (μB/f.u.): 0.00
Symmetry: No. 61
Energy of formation from the pure elements (kJ/mol of formula units): -837
Calculated volume (Å³/cell): 1097.8

Cell and atoms, written as POSCAR:
```
Sr3CrN4
1.0
-2.766 7.045 -5.863
-8.600 -5.069 -2.034
-5.082 5.170 8.609
Sr Cr N
24 8 32
Direct
0.529 0.372 0.394
0.198 0.719 0.387
0.802 0.781 0.887
0.302 0.219 0.613
0.302 0.719 0.887
0.802 0.281 0.613
0.198 0.219 0.113
0.698 0.781 0.387
0.698 0.281 0.113
0.029 0.628 0.106
0.971 0.872 0.606
0.471 0.128 0.894
0.471 0.628 0.606
0.971 0.372 0.894
0.029 0.128 0.394
0.529 0.872 0.106
0.873 0.473 0.356
0.373 0.527 0.144
0.627 0.973 0.644
0.127 0.027 0.856
0.127 0.527 0.644
0.627 0.473 0.856
0.373 0.027 0.356
0.873 0.973 0.144
0.696 0.098 0.388
0.196 0.902 0.112
0.804 0.598 0.612
0.304 0.402 0.888
0.304 0.902 0.612
0.804 0.098 0.888
0.196 0.402 0.388
0.696 0.598 0.112
0.786 0.231 0.327
0.286 0.769 0.173
0.714 0.731 0.673
0.214 0.269 0.827
0.214 0.769 0.673
0.714 0.231 0.827
0.286 0.269 0.327
0.786 0.731 0.173
0.812 0.498 0.033
0.312 0.502 0.467
0.688 0.998 0.967
0.188 0.002 0.533
0.188 0.502 0.967
0.688 0.498 0.533
0.312 0.002 0.033
0.621 0.002 0.279
0.569 0.154 0.489
0.069 0.846 0.011
0.931 0.654 0.511
0.431 0.346 0.989
0.431 0.846 0.511
0.931 0.154 0.989
0.069 0.346 0.489
0.569 0.654 0.011
0.621 0.502 0.221
0.121 0.498 0.279
0.879 0.002 0.779
0.379 0.998 0.721
0.379 0.498 0.779
0.879 0.502 0.721
0.121 0.998 0.221
0.812 0.998 0.467
```

---

Record 10
Material: Na3CrO4
Method: DFT, r²SCAN
State: relaxed

Magnetization (μB/f.u.): 1.00
Symmetry: No. 62
Energy of formation from the pure elements (kJ/mol of formula units): -1545
Calculated volume (Å³/cell): 469.4

Cell and atoms, written as POSCAR:
```
Na3CrO4
1.0
-3.194 4.000 -1.914
-1.378 -3.872 -5.791
-9.530 -4.944 5.574
Na Cr O
12 4 16
Direct
0.787 0.995 0.837
0.213 0.005 0.163
0.287 0.005 0.663
0.213 0.495 0.163
0.713 0.995 0.337
0.787 0.505 0.837
0.713 0.505 0.337
0.287 0.495 0.663
0.227 0.750 0.926
0.773 0.250 0.074
0.727 0.250 0.574
0.273 0.750 0.426
0.800 0.750 0.590
0.200 0.250 0.410
0.300 0.250 0.910
0.700 0.750 0.090
0.111 0.750 0.596
0.889 0.250 0.404
0.611 0.250 0.904
0.389 0.750 0.096
0.704 0.548 0.654
0.296 0.452 0.346
0.204 0.452 0.846
0.296 0.048 0.346
0.796 0.548 0.154
0.704 0.952 0.654
0.796 0.952 0.154
0.204 0.048 0.846
0.800 0.750 0.956
0.200 0.250 0.044
0.300 0.250 0.544
0.700 0.750 0.456
```

---

Record 11
Material: Na2CrO4
Method: DFT, r²SCAN
State: relaxed

Magnetization (μB/f.u.): 0.00
Symmetry: No. 63
Energy of formation from the pure elements (kJ/mol of formula units): -1392
Calculated volume (Å³/cell): 187.9

Cell and atoms, written as POSCAR:
```
Na2CrO4
1.0
-2.506 4.706 -0.924
-1.053 -3.890 -3.611
-5.484 -2.151 3.916
Na Cr O
4 2 8
Direct
0.186 0.814 0.750
0.814 0.186 0.250
0.500 0.500 0.500
0.500 0.500 0.000
0.854 0.146 0.750
0.146 0.854 0.250
0.250 0.750 0.062
0.750 0.250 0.562
0.750 0.250 0.938
0.250 0.750 0.438
0.191 0.271 0.750
0.809 0.729 0.250
0.729 0.809 0.750
0.271 0.191 0.250
```

---

Record 12
Material: Na4CrO4
Method: DFT, r²SCAN
State: relaxed

Magnetization (μB/f.u.): 2.00
Symmetry: No. 2
Energy of formation from the pure elements (kJ/mol of formula units): -1672
Calculated volume (Å³/cell): 241.4

Cell and atoms, written as POSCAR:
```
Na4CrO4
1.0
-5.420 0.546 1.534
-3.451 -2.869 -3.451
-2.031 -6.453 5.259
Na Cr O
8 2 8
Direct
0.946 0.243 0.601
0.521 0.265 0.433
0.607 0.731 0.182
0.241 0.754 0.988
0.759 0.246 0.012
0.479 0.735 0.567
0.054 0.757 0.399
0.393 0.269 0.818
0.843 0.721 0.757
0.157 0.279 0.243
0.851 0.846 0.931
0.704 0.974 0.623
0.296 0.026 0.377
0.363 0.471 0.197
0.637 0.529 0.803
0.163 0.527 0.638
0.149 0.154 0.069
0.837 0.473 0.362
```

---

Record 13
Material: NaCr2S4
Method: DFT, r²SCAN
State: relaxed

Magnetization (μB/f.u.): 5.04
Symmetry: No. 10
Energy of formation from the pure elements (kJ/mol of formula units): -697
Calculated volume (Å³/cell): 138.2
Energy above the most stable polymorph in this dataset (meV/atom): 8

Cell and atoms, written as POSCAR:
```
NaCr2S4
1.0
-1.471 0.986 -2.955
-2.775 -5.181 -0.347
-5.249 2.602 3.482
Na Cr S
1 2 4
Direct
0.000 0.000 0.500
0.500 0.500 0.000
0.000 0.000 0.000
0.000 0.336 0.196
0.500 0.836 0.198
0.500 0.164 0.802
0.000 0.664 0.804
```

---

Record 14
Material: NaCr2S4
Method: DFT, r²SCAN
State: relaxed

Magnetization (μB/f.u.): 5.04
Symmetry: No. 59
Energy of formation from the pure elements (kJ/mol of formula units): -702
Calculated volume (Å³/cell): 559.5
Energy above the most stable polymorph in this dataset (meV/atom): 0

Cell and atoms, written as POSCAR:
```
NaCr2S4
1.0
-3.631 -4.072 -2.279
0.520 -3.677 5.741
-10.872 6.729 5.296
Na Cr S
4 8 16
Direct
0.342 0.000 0.000
0.658 0.500 0.500
0.014 0.000 0.500
0.986 0.500 0.000
0.996 0.000 0.249
0.996 0.000 0.751
0.004 0.500 0.251
0.004 0.500 0.749
0.500 0.250 0.250
0.500 0.750 0.750
0.500 0.750 0.250
0.500 0.250 0.750
0.834 0.251 0.348
0.834 0.749 0.652
0.166 0.751 0.152
0.166 0.249 0.848
0.166 0.249 0.152
0.166 0.751 0.848
0.834 0.749 0.348
0.834 0.251 0.652
0.667 0.000 0.152
0.667 0.000 0.848
0.333 0.500 0.348
0.333 0.500 0.652
0.333 0.000 0.346
0.333 0.000 0.654
0.667 0.500 0.154
0.667 0.500 0.846
```

---

Record 15
Material: NaCrS2
Method: DFT, r²SCAN
State: relaxed

Magnetization (μB/f.u.): 3.00
Symmetry: No. 164
Energy of formation from the pure elements (kJ/mol of formula units): -480
Calculated volume (Å³/cell): 71.7

Cell and atoms, written as POSCAR:
```
NaCrS2
1.0
1.778 -3.080 0.000
1.778 3.080 0.000
0.000 0.000 6.543
Na Cr S
1 1 2
Direct
0.000 0.000 0.500
0.000 0.000 0.000
0.333 0.667 0.800
0.667 0.333 0.200
```

---

Record 16
Material: NaCrS2
Method: DFT, r²SCAN
State: relaxed

Magnetization (μB/f.u.): 3.00
Symmetry: No. 166
Energy of formation from the pure elements (kJ/mol of formula units): -483
Calculated volume (Å³/cell): 71.2

Cell and atoms, written as POSCAR:
```
NaCrS2
1.0
3.403 -0.031 5.845
1.554 3.027 5.845
-0.051 -0.031 6.763
Na Cr S
1 1 2
Direct
0.500 0.500 0.500
0.000 0.000 0.000
0.734 0.734 0.734
0.266 0.266 0.266
```

---

Record 17
Material: NbCrO4
Method: DFT, r²SCAN
State: relaxed

Magnetization (μB/f.u.): 0.00
Symmetry: No. 12
Energy of formation from the pure elements (kJ/mol of formula units): -1497
Calculated volume (Å³/cell): 299.9

Cell and atoms, written as POSCAR:
```
NbCrO4
1.0
-3.239 -5.469 1.394
3.958 -2.771 -4.359
7.027 -0.566 3.279
Nb Cr O
4 4 16
Direct
0.224 0.776 0.859
0.776 0.224 0.141
0.223 0.223 0.500
0.777 0.777 0.500
0.181 0.819 0.341
0.819 0.181 0.659
0.181 0.181 0.000
0.819 0.819 0.000
0.153 0.847 0.578
0.847 0.153 0.422
0.147 0.853 0.070
0.853 0.147 0.930
0.513 0.818 0.925
0.182 0.487 0.925
0.818 0.513 0.075
0.487 0.182 0.075
0.182 0.512 0.415
0.488 0.818 0.415
0.512 0.182 0.585
0.818 0.488 0.585
0.848 0.853 0.747
0.147 0.152 0.747
0.853 0.848 0.253
0.152 0.147 0.253
```

---

Record 18
Material: NbCrO4
Method: DFT, r²SCAN
State: relaxed

Magnetization (μB/f.u.): 3.00
Symmetry: No. 109
Energy of formation from the pure elements (kJ/mol of formula units): -1514
Calculated volume (Å³/cell): 132.4

Cell and atoms, written as POSCAR:
```
NbCrO4
1.0
0.000 4.679 3.023
0.000 4.679 -3.023
-4.679 0.000 -3.023
Nb Cr O
2 2 8
Direct
0.263 0.237 0.500
0.013 0.987 0.000
0.752 0.748 0.500
0.502 0.498 0.000
0.551 0.254 0.805
0.047 0.753 0.800
0.996 0.310 0.695
0.497 0.803 0.700
0.996 0.699 0.305
0.497 0.203 0.300
0.447 0.753 0.200
0.940 0.254 0.195
```